(1)
AlNiH16NO6F6 GGA+U optimized geometry; energy relative to the elements = -1.66 eV/atom
1.0
6.529 0.000 0.000
0.000 12.674 0.000
0.000 1.043 12.771
H O Ni F Al N
64 24 4 24 4 4
Direct
0.232 0.711 0.533 H
0.749 0.649 0.109 H
0.724 0.426 0.311 H
0.097 0.858 0.699 H
0.093 0.579 0.889 H
0.903 0.142 0.301 H
0.249 0.351 0.391 H
0.217 0.873 0.807 H
0.907 0.421 0.111 H
0.732 0.289 0.967 H
0.783 0.127 0.193 H
0.520 0.312 0.689 H
0.004 0.314 0.059 H
0.540 0.731 0.895 H
0.803 0.171 0.994 H
0.841 0.609 0.872 H
0.407 0.579 0.389 H
0.268 0.711 0.033 H
0.131 0.154 0.639 H
0.592 0.029 0.369 H
0.020 0.688 0.811 H
0.327 0.229 0.889 H
0.597 0.142 0.801 H
0.408 0.971 0.631 H
0.173 0.229 0.389 H
0.673 0.771 0.111 H
0.149 0.045 0.876 H
0.827 0.771 0.611 H
0.341 0.391 0.628 H
0.717 0.127 0.693 H
0.504 0.686 0.441 H
0.460 0.269 0.105 H
0.251 0.351 0.891 H
0.960 0.731 0.395 H
0.451 0.571 0.778 H
0.303 0.829 0.506 H
0.480 0.688 0.311 H
0.040 0.269 0.605 H
0.751 0.649 0.609 H
0.951 0.429 0.722 H
0.996 0.686 0.941 H
0.593 0.421 0.611 H
0.776 0.426 0.811 H
0.369 0.154 0.139 H
0.197 0.829 0.006 H
0.869 0.846 0.361 H
0.697 0.171 0.494 H
0.496 0.314 0.559 H
0.659 0.609 0.372 H
0.283 0.873 0.307 H
0.851 0.955 0.124 H
0.049 0.571 0.278 H
0.224 0.574 0.189 H
0.092 0.971 0.131 H
0.276 0.574 0.689 H
0.549 0.429 0.222 H
0.159 0.391 0.128 H
0.768 0.289 0.467 H
0.980 0.312 0.189 H
0.631 0.846 0.861 H
0.403 0.858 0.199 H
0.649 0.955 0.624 H
0.351 0.045 0.376 H
0.908 0.029 0.869 H
0.361 0.617 0.733 O
0.315 0.822 0.255 O
0.350 0.760 0.542 O
0.650 0.240 0.458 O
0.685 0.178 0.745 O
0.861 0.383 0.767 O
0.244 0.286 0.853 O
0.139 0.617 0.233 O
0.256 0.286 0.353 O
0.756 0.714 0.147 O
0.525 0.928 0.659 O
0.105 0.225 0.663 O
0.744 0.714 0.647 O
0.815 0.178 0.245 O
0.975 0.928 0.159 O
0.639 0.383 0.267 O
0.025 0.072 0.841 O
0.185 0.822 0.755 O
0.895 0.775 0.337 O
0.605 0.775 0.837 O
0.395 0.225 0.163 O
0.150 0.760 0.042 O
0.850 0.240 0.958 O
0.475 0.072 0.341 O
0.535 0.231 0.307 Ni
0.965 0.231 0.807 Ni
0.465 0.769 0.693 Ni
0.035 0.769 0.193 Ni
0.304 0.043 0.089 F
0.119 0.488 0.633 F
0.247 0.472 0.441 F
0.619 0.512 0.867 F
0.298 0.929 0.931 F
0.196 0.043 0.589 F
0.202 0.929 0.431 F
0.747 0.528 0.059 F
0.804 0.957 0.411 F
0.956 0.882 0.590 F
0.798 0.071 0.569 F
0.253 0.472 0.941 F
0.556 0.358 0.013 F
0.444 0.642 0.987 F
0.753 0.528 0.559 F
0.544 0.882 0.090 F
0.696 0.957 0.911 F
0.702 0.071 0.069 F
0.944 0.358 0.513 F
0.056 0.642 0.487 F
0.044 0.118 0.410 F
0.881 0.512 0.367 F
0.456 0.118 0.910 F
0.381 0.488 0.133 F
0.000 0.500 0.500 Al
0.000 0.000 0.500 Al
0.500 0.500 0.000 Al
0.500 0.000 0.000 Al
0.514 0.640 0.378 N
0.986 0.640 0.878 N
0.014 0.360 0.122 N
0.486 0.360 0.622 N



(2)
Rb2Nd2MgW4O16 GGA+U optimized geometry; offset from the most stable computed form = 0.030 eV/atom; energy relative to the elements = -2.56 eV/atom
1.0
7.075 0.020 3.561
-1.773 6.850 3.561
0.055 0.072 7.650
O W Nd Rb Mg
16 4 2 2 1
Direct
0.925 0.654 0.130 O
0.407 0.632 0.533 O
0.753 0.964 0.199 O
0.595 0.379 0.495 O
0.368 0.593 0.967 O
0.755 0.652 0.541 O
0.620 0.953 0.635 O
0.036 0.247 0.301 O
0.621 0.405 0.005 O
0.047 0.380 0.865 O
0.224 0.056 0.795 O
0.615 0.743 0.076 O
0.348 0.245 0.959 O
0.257 0.385 0.424 O
0.944 0.776 0.705 O
0.346 0.075 0.370 O
0.298 0.309 0.207 W
0.678 0.721 0.794 W
0.691 0.702 0.293 W
0.279 0.322 0.706 W
0.761 0.239 0.250 Nd
0.219 0.781 0.750 Nd
0.197 0.803 0.250 Rb
0.880 0.120 0.750 Rb
0.621 0.379 0.750 Mg



(3)
Cs2CrF6 GGA+U optimized geometry; energy relative to the elements = -2.97 eV/atom
1.0
-0.376 6.467 0.009
5.410 3.559 0.174
1.837 3.359 -5.226
Cr F Cs
1 6 2
Direct
0.000 0.000 0.000 Cr
0.796 0.204 0.796 F
0.204 0.796 0.204 F
0.204 0.796 0.796 F
0.204 0.204 0.796 F
0.796 0.204 0.204 F
0.796 0.796 0.204 F
0.250 0.250 0.250 Cs
0.750 0.750 0.750 Cs



(4)
LiV2P4H2O16 GGA+U optimized geometry; offset from the most stable computed form = 0.003 eV/atom; energy relative to the elements = -2.40 eV/atom
1.0
-7.683 -1.043 -1.468
-0.701 -4.076 6.563
-2.227 5.515 7.734
O Li P V H
32 2 8 4 4
Direct
0.548 0.800 0.591 O
0.330 0.063 0.858 O
0.057 0.196 0.905 O
0.452 0.690 0.402 O
0.445 0.699 0.904 O
0.337 0.389 0.099 O
0.056 0.898 0.854 O
0.826 0.925 0.640 O
0.557 0.804 0.095 O
0.672 0.435 0.147 O
0.048 0.200 0.409 O
0.947 0.597 0.646 O
0.837 0.611 0.901 O
0.672 0.114 0.904 O
0.952 0.310 0.598 O
0.170 0.567 0.361 O
0.159 0.889 0.599 O
0.943 0.599 0.146 O
0.556 0.102 0.146 O
0.172 0.565 0.853 O
0.558 0.095 0.647 O
0.825 0.611 0.400 O
0.326 0.075 0.360 O
0.172 0.886 0.096 O
0.670 0.433 0.639 O
0.659 0.111 0.401 O
0.058 0.905 0.353 O
0.447 0.403 0.354 O
0.945 0.301 0.096 O
0.830 0.937 0.142 O
0.325 0.389 0.600 O
0.443 0.401 0.854 O
0.631 0.599 0.274 Li
0.131 0.401 0.726 Li
0.844 0.488 0.569 P
0.850 0.484 0.072 P
0.350 0.516 0.928 P
0.344 0.512 0.431 P
0.641 0.977 0.570 P
0.655 0.983 0.069 P
0.141 0.023 0.430 P
0.155 0.017 0.931 P
0.993 0.763 0.749 V
0.505 0.245 0.753 V
0.005 0.755 0.247 V
0.493 0.237 0.251 V
0.493 0.736 0.489 H
0.988 0.259 0.012 H
0.993 0.264 0.511 H
0.488 0.741 0.988 H



(5)
LiVPO5 GGA+U optimized geometry; offset from the most stable computed form = 0.032 eV/atom; energy relative to the elements = -2.63 eV/atom
1.0
6.330 0.000 0.000
0.000 6.331 0.000
0.000 0.000 9.198
V O P Li
4 20 4 4
Direct
0.749 0.753 0.039 V
0.249 0.247 0.961 V
0.249 0.253 0.461 V
0.749 0.747 0.539 V
0.260 0.950 0.402 O
0.945 0.236 0.901 O
0.945 0.264 0.401 O
0.760 0.050 0.598 O
0.051 0.738 0.101 O
0.734 0.445 0.601 O
0.760 0.450 0.098 O
0.234 0.555 0.399 O
0.756 0.740 0.362 O
0.260 0.550 0.902 O
0.051 0.762 0.601 O
0.551 0.238 0.399 O
0.551 0.262 0.899 O
0.756 0.760 0.862 O
0.734 0.055 0.101 O
0.445 0.736 0.599 O
0.256 0.240 0.138 O
0.256 0.260 0.638 O
0.445 0.764 0.099 O
0.234 0.945 0.899 O
0.248 0.749 0.000 P
0.748 0.249 0.500 P
0.248 0.751 0.500 P
0.748 0.251 0.000 P
0.484 0.013 0.242 Li
0.984 0.987 0.758 Li
0.484 0.487 0.742 Li
0.984 0.513 0.258 Li